Entry w
Y5Mg: optimized geometry, PBE-GGA.

The structure in CIF format:
```
data_Y5Mg
_cell_length_a 5.6330
_cell_length_b 3.5905
_cell_length_c 18.5936
_cell_angle_alpha 90.00
_cell_angle_beta 90.00
_cell_angle_gamma 90.00
_symmetry_space_group_name_H-M 'A m m 2'
_symmetry_Int_Tables_number 38
loop_
_symmetry_equiv_pos_as_xyz
'x,y,z'
'-x,-y,z'
'-x,y,z'
'x,-y,z'
'x,y+1/2,z+1/2'
'-x,-y+1/2,z+1/2'
'-x,y+1/2,z+1/2'
'x,-y+1/2,z+1/2'
loop_
_atom_site_label
_atom_site_fract_x
_atom_site_fract_y
_atom_site_fract_z
_atom_site_occupancy
Y1 0.0000 0.0000 0.0000 1
Y2 0.0000 0.0000 0.3303 1
Y3 0.0000 0.0000 0.6626 1
Y4 0.5000 0.0000 0.2173 1
Y5 0.5000 0.0000 0.8851 1
Mg1 0.5000 0.0000 0.5531 1
```

---

Entry x
Y5Mg: optimized geometry, PBE-GGA.

The structure in CIF format:
```
data_Y5Mg
_cell_length_a 12.8149
_cell_length_b 3.5889
_cell_length_c 8.3582
_cell_angle_alpha 90.00
_cell_angle_beta 103.82
_cell_angle_gamma 90.00
_symmetry_space_group_name_H-M 'C 1 m 1'
_symmetry_Int_Tables_number 8
loop_
_symmetry_equiv_pos_as_xyz
'x,y,z'
'x,-y,z'
'x+1/2,y+1/2,z'
'x+1/2,-y+1/2,z'
loop_
_atom_site_label
_atom_site_fract_x
_atom_site_fract_y
_atom_site_fract_z
_atom_site_occupancy
Y1 0.0000 0.0000 0.0000 1
Y2 0.0437 0.0000 0.6123 1
Y3 0.1542 0.5000 0.3381 1
Y4 0.3232 0.0000 0.6765 1
Y5 0.3761 0.0000 0.2685 1
Mg1 0.2161 0.5000 0.9476 1
```

---

Which is more stable than every other structure shown? entry x is more stable than every other one.